(1)
VASP calculation (PBE+U) on crystalline Ba2MgCrMoO6 at its relaxed geometry.

Output
The calculation puts the energy above the most stable polymorph in this dataset at 53 meV/atom. Its crystal system is orthorhombic. The calculated formation energy comes out at -2.33 eV per atom. For the density, the calculation gives 5.7 Mg/m³.

Unit cell a=6.207 b=6.207 c=6.207 alpha=124.39 beta=123.35 gamma=83.42
Sites, in units of the cell vectors:
Ba 0.195 0.195 0.000
Ba 0.805 0.805 0.000
Mg 0.500 0.500 0.000
Cr 0.500 0.000 0.500
Mo 0.000 0.500 0.500
O 0.252 0.752 0.500
O 0.269 0.253 0.521
O 0.269 0.747 0.016
O 0.731 0.253 0.984
O 0.731 0.747 0.479
O 0.748 0.248 0.500

***

(2)
VASP calculation (PBE+U) on crystalline Ba2MgCrMoO6 at its relaxed geometry.

Output
The calculation puts the energy above the most stable polymorph in this dataset at 0 meV/atom. Its crystal system is monoclinic. The calculated formation energy comes out at -2.38 eV per atom. For the density, the calculation gives 5.0 Mg/m³.

Unit cell a=6.047 b=6.047 c=6.646 alpha=116.38 beta=116.38 gamma=60.04
Sites, in units of the cell vectors:
Ba 0.000 0.000 0.000
Ba 0.581 0.581 0.737
Mg 0.372 0.372 0.114
Cr 0.200 0.200 0.592
Mo 0.783 0.783 0.345
O 0.011 0.547 0.102
O 0.027 0.027 0.595
O 0.030 0.551 0.602
O 0.547 0.011 0.102
O 0.550 0.550 0.113
O 0.551 0.030 0.602

***

(3)
VASP calculation (PBE+U) on crystalline Ba2MgCrMoO6 at its relaxed geometry.

Output
The calculation puts the energy above the most stable polymorph in this dataset at 60 meV/atom. Its crystal system is monoclinic. The calculated formation energy comes out at -2.32 eV per atom. For the density, the calculation gives 5.0 Mg/m³.

Unit cell a=6.066 b=6.066 c=6.589 alpha=116.92 beta=116.92 gamma=60.08
Sites, in units of the cell vectors:
Ba 0.000 0.000 0.000
Ba 0.587 0.587 0.755
Mg 0.208 0.208 0.620
Cr 0.804 0.804 0.410
Mo 0.390 0.390 0.169
O 0.019 0.569 0.156
O 0.029 0.029 0.625
O 0.030 0.571 0.630
O 0.569 0.019 0.156
O 0.570 0.570 0.159
O 0.571 0.030 0.630

***

(4)
VASP calculation (PBE+U) on crystalline BaMg14CrO16 at its relaxed geometry.

Output
The calculation puts the energy above the most stable polymorph in this dataset at 3 meV/atom. Its crystal system is tetragonal. The calculated formation energy comes out at -2.77 eV per atom. For the density, the calculation gives 3.8 Mg/m³.

Unit cell a=8.723 b=8.723 c=4.564 alpha=90.00 beta=90.00 gamma=90.00
Sites, in units of the cell vectors:
Ba 0.000 0.000 0.000
Mg 0.000 0.264 0.500
Mg 0.000 0.500 0.000
Mg 0.000 0.736 0.500
Mg 0.254 0.500 0.500
Mg 0.258 0.258 0.000
Mg 0.258 0.742 0.000
Mg 0.264 0.000 0.500
Mg 0.500 0.000 0.000
Mg 0.500 0.254 0.500
Mg 0.500 0.746 0.500
Mg 0.736 0.000 0.500
Mg 0.742 0.258 0.000
Mg 0.742 0.742 0.000
Mg 0.746 0.500 0.500
Cr 0.500 0.500 0.000
O 0.000 0.000 0.500
O 0.000 0.281 0.000
O 0.000 0.500 0.500
O 0.000 0.719 0.000
O 0.251 0.251 0.500
O 0.251 0.749 0.500
O 0.254 0.500 0.000
O 0.281 0.000 0.000
O 0.500 0.000 0.500
O 0.500 0.254 0.000
O 0.500 0.500 0.500
O 0.500 0.746 0.000
O 0.719 0.000 0.000
O 0.746 0.500 0.000
O 0.749 0.251 0.500
O 0.749 0.749 0.500

***

(5)
VASP calculation (PBE+U) on crystalline BaMg6CrO8 at its relaxed geometry.

Output
The calculation puts the energy above the most stable polymorph in this dataset at 0 meV/atom. Its crystal system is tetragonal. The calculated formation energy comes out at -2.51 eV per atom. For the density, the calculation gives 4.0 Mg/m³.

Unit cell a=4.709 b=4.709 c=8.750 alpha=90.00 beta=90.00 gamma=90.00
Sites, in units of the cell vectors:
Ba 0.000 0.000 0.000
Mg 0.000 0.000 0.500
Mg 0.000 0.500 0.264
Mg 0.000 0.500 0.736
Mg 0.500 0.000 0.264
Mg 0.500 0.000 0.736
Mg 0.500 0.500 0.500
Cr 0.500 0.500 0.000
O 0.000 0.000 0.283
O 0.000 0.000 0.717
O 0.000 0.500 0.000
O 0.000 0.500 0.500
O 0.500 0.000 0.000
O 0.500 0.000 0.500
O 0.500 0.500 0.253
O 0.500 0.500 0.747

***

(6)
VASP calculation (PBE+U) on crystalline Ba3MgCr2O8 at its relaxed geometry.

Output
Its crystal system is triclinic. The calculated formation energy comes out at -2.57 eV per atom. For the density, the calculation gives 4.9 Mg/m³.

Unit cell a=5.886 b=5.886 c=8.281 alpha=110.81 beta=90.01 gamma=119.99
Sites, in units of the cell vectors:
Ba 0.000 0.000 0.000
Ba 0.195 0.406 0.614
Ba 0.786 0.588 0.386
Mg 0.490 0.997 0.500
Cr 0.383 0.783 0.179
Cr 0.597 0.210 0.821
O 0.247 0.971 0.691
O 0.272 0.022 0.309
O 0.273 0.563 0.309
O 0.295 0.626 0.951
O 0.661 0.357 0.049
O 0.707 0.431 0.692
O 0.707 0.971 0.692
O 0.733 0.022 0.308

***

(7)
VASP calculation (PBE+U) on crystalline BaMgCr4O8 at its relaxed geometry.

Output
Its crystal system is trigonal. The calculated formation energy comes out at -2.19 eV per atom. For the density, the calculation gives 4.4 Mg/m³.

Unit cell a=5.401 b=5.401 c=7.356 alpha=90.00 beta=90.00 gamma=120.00
Sites, in units of the cell vectors:
Ba 0.000 0.000 0.000
Mg 0.000 0.000 0.500
Cr 0.333 0.667 0.258
Cr 0.333 0.667 0.742
Cr 0.667 0.333 0.258
Cr 0.667 0.333 0.742
O 0.000 0.313 0.322
O 0.000 0.687 0.678
O 0.313 0.000 0.322
O 0.313 0.313 0.678
O 0.333 0.667 0.000
O 0.667 0.333 0.000
O 0.687 0.000 0.678
O 0.687 0.687 0.322

***

(8)
VASP calculation (PBE+U) on crystalline BaMg6CrO8 at its relaxed geometry.

Output
The calculation puts the energy above the most stable polymorph in this dataset at 6 meV/atom. Its crystal system is tetragonal. The calculated formation energy comes out at -2.50 eV per atom. For the density, the calculation gives 4.0 Mg/m³.

Unit cell a=4.687 b=4.687 c=8.863 alpha=90.00 beta=90.00 gamma=90.00
Sites, in units of the cell vectors:
Ba 0.000 0.000 0.000
Mg 0.000 0.500 0.265
Mg 0.000 0.500 0.735
Mg 0.500 0.000 0.265
Mg 0.500 0.000 0.735
Mg 0.500 0.500 0.000
Mg 0.500 0.500 0.500
Cr 0.000 0.000 0.500
O 0.000 0.000 0.279
O 0.000 0.000 0.721
O 0.000 0.500 0.000
O 0.000 0.500 0.500
O 0.500 0.000 0.000
O 0.500 0.000 0.500
O 0.500 0.500 0.253
O 0.500 0.500 0.747

***

(9)
VASP calculation (PBE+U) on crystalline BaMg14CrO16 at its relaxed geometry.

Output
The calculation puts the energy above the most stable polymorph in this dataset at 0 meV/atom. Its crystal system is orthorhombic. The calculated formation energy comes out at -2.78 eV per atom. For the density, the calculation gives 3.7 Mg/m³.

Unit cell a=4.514 b=8.758 c=8.813 alpha=90.00 beta=90.00 gamma=90.00
Sites, in units of the cell vectors:
Ba 0.000 0.000 0.000
Mg 0.000 0.000 0.500
Mg 0.000 0.258 0.261
Mg 0.000 0.258 0.739
Mg 0.000 0.500 0.500
Mg 0.000 0.742 0.261
Mg 0.000 0.742 0.739
Mg 0.500 0.000 0.265
Mg 0.500 0.000 0.735
Mg 0.500 0.253 0.500
Mg 0.500 0.263 0.000
Mg 0.500 0.500 0.254
Mg 0.500 0.500 0.746
Mg 0.500 0.737 0.000
Mg 0.500 0.747 0.500
Cr 0.000 0.500 0.000
O 0.000 0.000 0.281
O 0.000 0.000 0.719
O 0.000 0.255 0.500
O 0.000 0.277 0.000
O 0.000 0.500 0.266
O 0.000 0.500 0.734
O 0.000 0.723 0.000
O 0.000 0.745 0.500
O 0.500 0.000 0.000
O 0.500 0.000 0.500
O 0.500 0.251 0.250
O 0.500 0.251 0.750
O 0.500 0.500 0.000
O 0.500 0.500 0.500
O 0.500 0.749 0.250
O 0.500 0.749 0.750

***

(10)
VASP calculation (PBE+U) on crystalline Ba2Mg2Tl2Cr3O10 at its relaxed geometry.

Output
Its crystal system is triclinic. The calculated formation energy comes out at -2.14 eV per atom. For the density, the calculation gives 6.1 Mg/m³.

Unit cell a=3.804 b=3.885 c=19.499 alpha=91.80 beta=95.20 gamma=90.10
Sites, in units of the cell vectors:
Ba 0.000 0.000 0.000
Ba 0.335 0.268 0.588
Mg 0.096 0.029 0.190
Mg 0.225 0.236 0.393
Tl 0.439 0.407 0.855
Tl 0.889 0.865 0.738
Cr 0.562 0.520 0.123
Cr 0.664 0.762 0.303
Cr 0.789 0.742 0.474
O 0.072 0.519 0.145
O 0.154 0.800 0.283
O 0.278 0.739 0.439
O 0.381 0.297 0.729
O 0.511 0.512 0.024
O 0.576 0.024 0.149
O 0.673 0.273 0.327
O 0.812 0.240 0.466
O 0.827 0.760 0.572
O 0.947 0.842 0.866

***

(11)
VASP calculation (PBE+U) on crystalline BaNb4CrO12 at its relaxed geometry.

Output
Its crystal system is orthorhombic. The calculated formation energy comes out at -2.87 eV per atom. For the density, the calculation gives 5.0 Mg/m³.

Unit cell a=8.019 b=5.608 c=5.608 alpha=87.89 beta=90.00 gamma=90.00
Sites, in units of the cell vectors:
Ba 0.000 0.000 0.000
Nb 0.255 0.014 0.504
Nb 0.255 0.504 0.014
Nb 0.745 0.014 0.504
Nb 0.745 0.504 0.014
Cr 0.500 0.558 0.558
O 0.000 0.059 0.489
O 0.000 0.489 0.059
O 0.218 0.750 0.750
O 0.258 0.243 0.813
O 0.258 0.813 0.243
O 0.311 0.328 0.328
O 0.500 0.558 0.934
O 0.500 0.934 0.558
O 0.689 0.328 0.328
O 0.742 0.243 0.813
O 0.742 0.813 0.243
O 0.782 0.750 0.750

***

(12)
VASP calculation (PBE+U) on crystalline BaNdCrSnO6 at its relaxed geometry.

Output
Its crystal system is cubic. The calculated formation energy comes out at -2.71 eV per atom. For the density, the calculation gives 6.8 Mg/m³.

Unit cell a=5.735 b=5.735 c=5.735 alpha=60.00 beta=60.00 gamma=60.00
Sites, in units of the cell vectors:
Ba 0.000 0.000 0.000
Nd 0.500 0.500 0.500
Cr 0.750 0.750 0.750
Sn 0.250 0.250 0.250
O 0.503 0.503 0.997
O 0.503 0.997 0.503
O 0.503 0.997 0.997
O 0.997 0.503 0.503
O 0.997 0.503 0.997
O 0.997 0.997 0.503

***

(13)
VASP calculation (PBE+U) on crystalline BaCrO3 at its relaxed geometry.

Output
Its crystal system is hexagonal. The calculated formation energy comes out at -2.54 eV per atom. For the density, the calculation gives 6.0 Mg/m³.

Unit cell a=5.728 b=5.728 c=13.952 alpha=90.00 beta=90.00 gamma=120.00
Sites, in units of the cell vectors:
Ba 0.000 0.000 0.250
Ba 0.000 0.000 0.750
Ba 0.333 0.667 0.092
Ba 0.333 0.667 0.408
Ba 0.667 0.333 0.592
Ba 0.667 0.333 0.908
Cr 0.000 0.000 0.000
Cr 0.000 0.000 0.500
Cr 0.333 0.667 0.654
Cr 0.333 0.667 0.846
Cr 0.667 0.333 0.154
Cr 0.667 0.333 0.346
O 0.041 0.521 0.750
O 0.170 0.340 0.582
O 0.170 0.340 0.918
O 0.170 0.830 0.582
O 0.170 0.830 0.918
O 0.340 0.170 0.082
O 0.340 0.170 0.418
O 0.479 0.521 0.750
O 0.479 0.959 0.750
O 0.521 0.041 0.250
O 0.521 0.479 0.250
O 0.660 0.830 0.582
O 0.660 0.830 0.918
O 0.830 0.170 0.082
O 0.830 0.170 0.418
O 0.830 0.660 0.082
O 0.830 0.660 0.418
O 0.959 0.479 0.250

***

(14)
VASP calculation (PBE+U) on crystalline BaCr4O7 at its relaxed geometry.

Output
Its crystal system is hexagonal. The calculated formation energy comes out at -2.00 eV per atom. For the density, the calculation gives 3.7 Mg/m³.

Unit cell a=6.690 b=6.690 c=10.551 alpha=90.00 beta=90.00 gamma=120.00
Sites, in units of the cell vectors:
Ba 0.333 0.667 0.000
Ba 0.667 0.333 0.500
Cr 0.000 0.000 0.467
Cr 0.000 0.000 0.967
Cr 0.172 0.344 0.715
Cr 0.172 0.828 0.715
Cr 0.344 0.172 0.215
Cr 0.656 0.828 0.715
Cr 0.828 0.172 0.215
Cr 0.828 0.656 0.215
O 0.000 0.000 0.270
O 0.000 0.000 0.770
O 0.055 0.527 0.780
O 0.144 0.289 0.542
O 0.144 0.856 0.542
O 0.289 0.144 0.042
O 0.473 0.527 0.780
O 0.473 0.945 0.780
O 0.527 0.055 0.280
O 0.527 0.473 0.280
O 0.711 0.856 0.542
O 0.856 0.144 0.042
O 0.856 0.711 0.042
O 0.945 0.473 0.280